Record 1
{
  "formula": "Gd3AsO7",
  "functional": "PBE",
  "state": "relaxed",
  "relative_energy_mev_per_atom": 18,
  "ef_ev_per_atom": -3.25,
  "lattice": [[-6.362, 0.000, 0.000], [0.917, 6.387, 0.000], [-0.008, -2.169, -7.181]],
  "species": ["Gd", "Gd", "Gd", "Gd", "Gd", "Gd", "As", "As", "O", "O", "O", "O", "O", "O", "O", "O", "O", "O", "O", "O", "O", "O"],
  "fractional_positions": [[0.741, 0.470, 0.121], [0.751, 0.504, 0.623], [0.542, 0.002, 0.747], [0.458, 0.998, 0.253], [0.249, 0.496, 0.377], [0.259, 0.530, 0.879], [0.000, 0.000, 0.000], [0.000, 0.000, 0.500], [0.724, 0.034, 0.477], [0.927, 0.698, 0.958], [0.723, 0.054, 0.041], [0.940, 0.686, 0.393], [0.914, 0.935, 0.733], [0.567, 0.363, 0.834], [0.559, 0.359, 0.347], [0.441, 0.641, 0.653], [0.433, 0.637, 0.166], [0.086, 0.065, 0.267], [0.060, 0.314, 0.607], [0.277, 0.946, 0.959], [0.073, 0.302, 0.042], [0.276, 0.966, 0.523]]
}

---

Record 2
{
  "formula": "Gd3AsO7",
  "functional": "PBE",
  "state": "relaxed",
  "relative_energy_mev_per_atom": 0,
  "ef_ev_per_atom": -3.27,
  "lattice": [[-6.072, -0.720, 4.089], [-2.269, -5.518, -4.341], [4.992, -6.925, 6.193]],
  "species": ["Gd", "Gd", "Gd", "Gd", "Gd", "Gd", "Gd", "Gd", "Gd", "Gd", "Gd", "Gd", "As", "As", "As", "As", "O", "O", "O", "O", "O", "O", "O", "O", "O", "O", "O", "O", "O", "O", "O", "O", "O", "O", "O", "O", "O", "O", "O", "O", "O", "O", "O", "O"],
  "fractional_positions": [[0.273, 0.004, 0.750], [0.454, 0.253, 0.026], [0.454, 0.253, 0.474], [0.954, 0.247, 0.526], [0.954, 0.247, 0.974], [0.773, 0.496, 0.250], [0.227, 0.504, 0.750], [0.046, 0.753, 0.026], [0.046, 0.753, 0.474], [0.546, 0.747, 0.526], [0.546, 0.747, 0.974], [0.727, 0.996, 0.250], [0.251, 0.002, 0.250], [0.751, 0.498, 0.750], [0.249, 0.502, 0.250], [0.749, 0.998, 0.750], [0.566, 0.032, 0.628], [0.566, 0.032, 0.872], [0.080, 0.037, 0.125], [0.080, 0.037, 0.375], [0.827, 0.247, 0.750], [0.229, 0.251, 0.617], [0.229, 0.251, 0.883], [0.729, 0.249, 0.117], [0.729, 0.249, 0.383], [0.327, 0.253, 0.250], [0.580, 0.463, 0.625], [0.580, 0.463, 0.875], [0.066, 0.468, 0.128], [0.066, 0.468, 0.372], [0.934, 0.532, 0.628], [0.934, 0.532, 0.872], [0.420, 0.537, 0.125], [0.420, 0.537, 0.375], [0.673, 0.747, 0.750], [0.271, 0.751, 0.617], [0.271, 0.751, 0.883], [0.771, 0.749, 0.117], [0.771, 0.749, 0.383], [0.173, 0.753, 0.250], [0.920, 0.963, 0.625], [0.920, 0.963, 0.875], [0.434, 0.968, 0.128], [0.434, 0.968, 0.372]]
}

---

Record 3
{
  "formula": "Gd3AsO7",
  "functional": "PBE",
  "state": "relaxed",
  "relative_energy_mev_per_atom": 2,
  "ef_ev_per_atom": -3.27,
  "lattice": [[-2.149, 1.408, -5.907], [-0.749, -6.302, 1.101], [-6.798, 1.294, 2.781]],
  "species": ["Gd", "Gd", "Gd", "Gd", "Gd", "Gd", "As", "As", "O", "O", "O", "O", "O", "O", "O", "O", "O", "O", "O", "O", "O", "O"],
  "fractional_positions": [[0.465, 0.002, 0.252], [0.998, 0.535, 0.248], [0.489, 0.489, 0.000], [0.511, 0.511, 0.500], [0.535, 0.998, 0.752], [0.002, 0.465, 0.748], [0.000, 0.000, 0.500], [0.000, 0.000, 0.000], [0.942, 0.058, 0.750], [0.635, 0.365, 0.750], [0.299, 0.057, 0.530], [0.943, 0.701, 0.970], [0.629, 0.371, 0.250], [0.933, 0.695, 0.527], [0.305, 0.067, 0.973], [0.067, 0.305, 0.027], [0.695, 0.933, 0.473], [0.371, 0.629, 0.750], [0.701, 0.943, 0.030], [0.057, 0.299, 0.470], [0.365, 0.635, 0.250], [0.058, 0.942, 0.250]]
}

---

Record 4
{
  "formula": "GdZnAsO",
  "functional": "PBE",
  "state": "relaxed",
  "ef_ev_per_atom": -1.99,
  "lattice": [[-3.722, -1.281, -0.725], [1.458, -2.947, -2.282], [0.443, -5.379, 7.228]],
  "species": ["Gd", "Gd", "Zn", "Zn", "As", "As", "O", "O"],
  "fractional_positions": [[0.000, 0.500, 0.874], [0.500, 0.000, 0.126], [0.000, 0.000, 0.500], [0.500, 0.500, 0.500], [0.000, 0.500, 0.322], [0.500, 0.000, 0.678], [0.000, 0.000, 0.000], [0.500, 0.500, 0.000]]
}